(1)
Computed, not measured: a relaxed structure of GdTmFe2Ni8 at the PBE-GGA level of DFT.

Lattice parameters (Å, degrees): 3.9319 4.9189 8.5168 90.00 90.00 90.00
Fractional coordinates of all 12 atoms:
Ni 0.0000 0.5000 0.6646
Ni 0.0000 0.0000 0.1684
Ni 0.5000 0.2488 0.7473
Ni 0.5000 0.7512 0.7473
Ni 0.5000 0.7530 0.2525
Ni 0.5000 0.2470 0.2525
Ni 0.5000 0.5000 0.5003
Ni 0.5000 0.0000 0.0003
Fe 0.0000 0.0000 0.8316
Fe 0.0000 0.5000 0.3352
Tm 0.0000 0.0000 0.5002
Gd 0.0000 0.5000 0.9999

## Properties
Space-group type ... Pmm2, No. 25

(2)
Computed, not measured: a relaxed structure of GdFe5P3 at the PBE-GGA level of DFT.

Lattice parameters (Å, degrees): 3.6612 10.2905 11.8140 90.00 90.00 90.00
Fractional coordinates of all 36 atoms:
Fe 0.7500 0.2056 0.5126
Fe 0.7500 0.5953 0.5095
Fe 0.7500 0.5356 0.0663
Fe 0.2500 0.2187 0.1757
Fe 0.7500 0.7813 0.8243
Fe 0.2500 0.7056 0.9874
Fe 0.2500 0.4644 0.9337
Fe 0.2500 0.4047 0.4905
Fe 0.7500 0.1232 0.3003
Fe 0.7500 0.9644 0.5663
Fe 0.7500 0.9047 0.0095
Fe 0.2500 0.7944 0.4874
Fe 0.2500 0.8768 0.6997
Fe 0.2500 0.6232 0.1997
Fe 0.7500 0.2944 0.0126
Fe 0.2500 0.2813 0.6757
Fe 0.7500 0.3768 0.8003
Fe 0.7500 0.7187 0.3243
Fe 0.2500 0.0953 0.9905
Fe 0.2500 0.0356 0.4337
P 0.2500 0.2323 0.3715
P 0.7500 0.9205 0.3879
P 0.7500 0.7677 0.6285
P 0.2500 0.4205 0.1121
P 0.7500 0.3968 0.6042
P 0.7500 0.5795 0.8879
P 0.2500 0.0795 0.6121
P 0.2500 0.8968 0.8958
P 0.2500 0.2677 0.8715
P 0.7500 0.1032 0.1042
P 0.7500 0.7323 0.1285
P 0.2500 0.6032 0.3958
Gd 0.2500 0.9183 0.2039
Gd 0.7500 0.4183 0.2961
Gd 0.2500 0.5817 0.7039
Gd 0.7500 0.0817 0.7961

## Properties
Space-group type ... Pnma, No. 62

(3)
Computed, not measured: a relaxed structure of GdFe2Si2 at the PBE-GGA level of DFT.

Lattice parameters (Å, degrees): 5.5699 5.5699 5.5699 138.17 138.17 60.64
Fractional coordinates of all 5 atoms:
Si 0.3649 0.3649 0.0000
Si 0.6351 0.6351 0.0000
Gd 0.0000 0.0000 0.0000
Fe 0.2500 0.7500 0.5000
Fe 0.7500 0.2500 0.5000

## Properties
E (MP2020) ... -9.0073 eV/atom
Space-group type ... I4/mmm, No. 139

Energy of formation from the pure elements
In order: -248; -714; -634
Unit: meV per atom
Uncorrected energy
In order: -0.5188; -0.6459; -0.6641
Unit: Ry/atom